No. 1
Compound: Cd2H3ClO3
Source: the Materials Project
Functional: PBE
Structure: relaxed

Calculated values
Energy ... -4.275 eV per atom

Cell lengths 6.9252, 7.5997, 10.0420 Å; angles 90.00, 90.00, 90.00 degrees
Last column: nearest neighbours and their distance in Å.
Positions (direct):
Cd 0.3091 0.7500 0.7624  5 O 2.30-2.37
Cd 0.8091 0.7500 0.7376  5 O 2.30-2.37
Cd 0.6909 0.2500 0.2376  5 O 2.30-2.37
Cd 0.1909 0.2500 0.2624  5 O 2.30-2.37
Cd 0.5000 0.0000 0.5000  4 O 2.28
Cd 0.0000 0.5000 0.0000  4 O 2.28
Cd 0.5000 0.5000 0.5000  4 O 2.28
Cd 0.0000 0.0000 0.0000  4 O 2.28
H 0.9266 0.9539 0.2796  1 O 0.98
H 0.4266 0.5461 0.2204  1 O 0.98
H 0.0734 0.4539 0.7204  1 O 0.98
H 0.5734 0.0461 0.7796  1 O 0.98
H 0.0734 0.0461 0.7204  1 O 0.98
H 0.5734 0.4539 0.7796  1 O 0.98
H 0.9266 0.5461 0.2796  1 O 0.98
H 0.4266 0.9539 0.2204  1 O 0.98
H 0.1923 0.7500 0.4869  1 O 0.98
H 0.6923 0.7500 0.0131  1 O 0.98
H 0.8077 0.2500 0.5131  1 O 0.98
H 0.3077 0.2500 0.9869  1 O 0.98
Cl 0.1899 0.2500 0.5386  3 H 2.53-2.66, 1 Cd 2.77
Cl 0.6899 0.2500 0.9614  3 H 2.53-2.66, 1 Cd 2.77
Cl 0.8101 0.7500 0.4614  3 H 2.53-2.66, 1 Cd 2.77
Cl 0.3101 0.7500 0.0386  3 H 2.53-2.66, 1 Cd 2.77
O 0.1789 0.2500 0.0265  1 H 0.98
O 0.6789 0.2500 0.4735  1 H 0.98
O 0.8211 0.7500 0.9735  1 H 0.98
O 0.3211 0.7500 0.5265  1 H 0.98
O 0.4433 0.0539 0.2805  1 H 0.98
O 0.9433 0.4461 0.2195  1 H 0.98
O 0.5567 0.5539 0.7195  1 H 0.98
O 0.0567 0.9461 0.7805  1 H 0.98
O 0.5567 0.9461 0.7195  1 H 0.98
O 0.0567 0.5539 0.7805  1 H 0.98
O 0.4433 0.4461 0.2805  1 H 0.98
O 0.9433 0.0539 0.2195  1 H 0.98

No. 2
Compound: CdHClO
Source: the Materials Project
Functional: PBE
Structure: relaxed

Calculated values
Maximum piezoelectric response ... 0.861 C/m²
Energy ... -3.871 eV per atom

Cell lengths 3.7349, 3.7349, 10.4195 Å; angles 90.00, 90.00, 120.00 degrees
Last column: nearest neighbours and their distance in Å.
Positions (direct):
Cd 0.6667 0.3333 0.4922  3 O 2.31
Cd 0.3333 0.6667 0.9922  3 O 2.31
H 0.0000 0.0000 0.3184  1 O 0.99
H 0.0000 0.0000 0.8184  1 O 0.99
Cl 0.6667 0.3333 0.1557  3 H 2.74, 3 Cd 2.75
Cl 0.3333 0.6667 0.6557  3 H 2.74, 3 Cd 2.75
O 0.0000 0.0000 0.4132  1 H 0.99
O 0.0000 0.0000 0.9132  1 H 0.99